[1]
This record from Materials Project describes crystalline MnAs2H16S8N4 at its relaxed geometry. The functional is PBE-GGA.

Cell and atoms, written as POSCAR:
```
MnAs2H16S8N4
1.0
9.0117 0.0000 0.0000
0.0000 9.4075 0.0000
0.0000 6.6046 21.2227
S H As N Mn
32 64 8 16 4
Direct
0.2317 0.2494 0.6963 S
0.6695 0.5811 0.6310 S
0.4882 0.9316 0.6148 S
0.1574 0.0983 0.4588 S
0.3256 0.4090 0.5320 S
0.8098 0.8443 0.7090 S
0.3305 0.5811 0.1310 S
0.9578 0.3271 0.5654 S
0.6695 0.4189 0.8690 S
0.1025 0.6199 0.6105 S
0.0422 0.3271 0.0654 S
0.7683 0.7506 0.3037 S
0.7683 0.2494 0.1963 S
0.8426 0.0983 0.9588 S
0.8975 0.6199 0.1105 S
0.3305 0.4189 0.3690 S
0.8426 0.9017 0.5412 S
0.4882 0.0684 0.8852 S
0.1025 0.3801 0.8895 S
0.8098 0.1557 0.7910 S
0.0422 0.6729 0.4346 S
0.1574 0.9017 0.0412 S
0.1902 0.8443 0.2090 S
0.5118 0.0684 0.3852 S
0.2317 0.7506 0.8037 S
0.3256 0.5910 0.9680 S
0.9578 0.6729 0.9346 S
0.8975 0.3801 0.3895 S
0.1902 0.1557 0.2910 S
0.5118 0.9316 0.1148 S
0.6744 0.4090 0.0320 S
0.6744 0.5910 0.4680 S
0.1987 0.1080 0.8610 H
0.3429 0.5814 0.7602 H
0.6521 0.1804 0.7097 H
0.4618 0.1727 0.0265 H
0.5823 0.8918 0.8477 H
0.3423 0.7175 0.3664 H
0.3423 0.2825 0.1336 H
0.0262 0.9197 0.6662 H
0.5231 0.5460 0.2110 H
0.4897 0.2452 0.6702 H
0.5823 0.1082 0.6523 H
0.7162 0.8339 0.9935 H
0.1247 0.4058 0.2544 H
0.0835 0.0224 0.5946 H
0.6571 0.4186 0.2398 H
0.8013 0.8920 0.1390 H
0.1645 0.9506 0.8406 H
0.7162 0.1661 0.5065 H
0.8355 0.0494 0.1594 H
0.3429 0.4186 0.7398 H
0.5103 0.7548 0.3298 H
0.5847 0.8021 0.0490 H
0.2838 0.8339 0.4935 H
0.4153 0.8021 0.5490 H
0.8753 0.5942 0.7456 H
0.8355 0.9506 0.3406 H
0.6521 0.8196 0.7903 H
0.6577 0.2825 0.6336 H
0.4618 0.8273 0.4735 H
0.3728 0.3348 0.9855 H
0.9738 0.0803 0.3338 H
0.8013 0.1080 0.3610 H
0.4177 0.8918 0.3477 H
0.9954 0.5223 0.2093 H
0.1247 0.5942 0.2456 H
0.0835 0.9776 0.9054 H
0.1987 0.8920 0.6390 H
0.9954 0.4777 0.2907 H
0.5231 0.4540 0.2890 H
0.5103 0.2452 0.1702 H
0.6577 0.7175 0.8664 H
0.0046 0.5223 0.7093 H
0.0262 0.0803 0.8338 H
0.4897 0.7548 0.8298 H
0.9165 0.0224 0.0946 H
0.4153 0.1979 0.9510 H
0.5382 0.8273 0.9735 H
0.4769 0.4540 0.7890 H
0.5382 0.1727 0.5265 H
0.4177 0.1082 0.1523 H
0.3479 0.1804 0.2097 H
0.6272 0.6652 0.0145 H
0.5847 0.1979 0.4510 H
0.6571 0.5814 0.2602 H
0.9165 0.9776 0.4054 H
0.3728 0.6652 0.5145 H
0.8753 0.4058 0.7544 H
0.6272 0.3348 0.4855 H
0.3479 0.8196 0.2903 H
0.9738 0.9197 0.1662 H
0.4769 0.5460 0.7110 H
0.1645 0.0494 0.6594 H
0.2838 0.1661 0.0065 H
0.0046 0.4777 0.7907 H
0.7019 0.1841 0.8748 As
0.7019 0.8159 0.6252 As
0.2981 0.8159 0.1252 As
0.8406 0.6027 0.3948 As
0.1594 0.6027 0.8948 As
0.8406 0.3973 0.1052 As
0.1594 0.3973 0.6052 As
0.2981 0.1841 0.3748 As
0.5911 0.5000 0.2500 N
0.9402 0.5000 0.7500 N
0.4039 0.7951 0.3336 N
0.6166 0.2202 0.4926 N
0.1197 0.9705 0.6400 N
0.3834 0.2202 0.9926 N
0.4039 0.2049 0.1664 N
0.6166 0.7798 0.0074 N
0.5961 0.7951 0.8336 N
0.8803 0.0295 0.3600 N
0.5961 0.2049 0.6664 N
0.1197 0.0295 0.8600 N
0.0598 0.5000 0.2500 N
0.4089 0.5000 0.7500 N
0.8803 0.9705 0.1400 N
0.3834 0.7798 0.5074 N
0.1237 0.3721 0.4586 Mn
0.8763 0.6279 0.5414 Mn
0.1237 0.6279 0.0414 Mn
0.8763 0.3721 0.9586 Mn
```

Results
mass density = 2.0 g cm⁻³
energy of formation = -497 meV/atom
E = -4.811 eV/atom



[2]
This record from Materials Project describes crystalline Sm2Ti2S2O5 at its relaxed geometry. The functional is PBE-GGA.

Cell and atoms, written as POSCAR:
```
Sm2Ti2S2O5
1.0
-3.8078 0.2611 0.4479
-0.2455 -3.8323 0.1466
3.4065 2.1382 11.2294
Ti Sm O S
2 2 5 2
Direct
0.5780 0.5780 0.1561 Ti
0.4220 0.4220 0.8439 Ti
0.1661 0.1661 0.3321 Sm
0.8339 0.8339 0.6679 Sm
0.5000 0.5000 0.0000 O
0.0977 0.5977 0.1954 O
0.4023 0.9023 0.8046 O
0.9023 0.4023 0.8046 O
0.5977 0.0977 0.1954 O
0.7042 0.7042 0.4083 S
0.2958 0.2958 0.5917 S
```

Results
mass density = 5.2 g cm⁻³
energy of formation = -3294 meV/atom
E = -8.185 eV/atom



[3]
This record from Materials Project describes crystalline Na3Li3Rh2F12 at its relaxed geometry. The functional is PBE-GGA.

Cell and atoms, written as POSCAR:
```
Na3Li3Rh2F12
1.0
-6.3378 -6.3378 6.3378
-6.3378 6.3378 -6.3378
6.3378 -6.3378 -6.3378
F Li Na Rh
48 12 12 8
Direct
0.3806 0.4791 0.3020 F
0.5786 0.3806 0.9015 F
0.1771 0.5985 0.4791 F
0.9015 0.3229 0.0209 F
0.8229 0.4214 0.8020 F
0.0985 0.4214 0.6194 F
0.5209 0.6980 0.6194 F
0.5985 0.4791 0.1771 F
0.4015 0.8806 0.0786 F
0.9791 0.0985 0.6771 F
0.9791 0.8806 0.8020 F
0.8806 0.8020 0.9791 F
0.3229 0.0209 0.9015 F
0.4214 0.6194 0.0985 F
0.1980 0.0209 0.1194 F
0.0985 0.6771 0.9791 F
0.3806 0.9015 0.5786 F
0.6980 0.0786 0.6771 F
0.9214 0.3229 0.3020 F
0.1771 0.5786 0.1980 F
0.9015 0.5786 0.3806 F
0.0209 0.9015 0.3229 F
0.1194 0.9214 0.5985 F
0.3020 0.3806 0.4791 F
0.1980 0.1771 0.5786 F
0.8020 0.8229 0.4214 F
0.6771 0.6980 0.0786 F
0.3229 0.3020 0.9214 F
0.6194 0.5209 0.6980 F
0.0209 0.1194 0.1980 F
0.5985 0.1194 0.9214 F
0.4791 0.3020 0.3806 F
0.8020 0.9791 0.8806 F
0.6980 0.6194 0.5209 F
0.4791 0.1771 0.5985 F
0.5209 0.8229 0.4015 F
0.5786 0.1980 0.1771 F
0.6194 0.0985 0.4214 F
0.0786 0.6771 0.6980 F
0.8806 0.0786 0.4015 F
0.0786 0.4015 0.8806 F
0.4015 0.5209 0.8229 F
0.8229 0.4015 0.5209 F
0.9214 0.5985 0.1194 F
0.4214 0.8020 0.8229 F
0.3020 0.9214 0.3229 F
0.6771 0.9791 0.0985 F
0.1194 0.1980 0.0209 F
0.6250 0.3750 0.7500 Li
0.2500 0.3750 0.6250 Li
0.3750 0.7500 0.6250 Li
0.7500 0.1250 0.8750 Li
0.6250 0.2500 0.3750 Li
0.1250 0.8750 0.7500 Li
0.8750 0.1250 0.2500 Li
0.1250 0.2500 0.8750 Li
0.8750 0.7500 0.1250 Li
0.3750 0.6250 0.2500 Li
0.7500 0.6250 0.3750 Li
0.2500 0.8750 0.1250 Li
0.8750 0.6250 0.7500 Na
0.7500 0.8750 0.6250 Na
0.2500 0.1250 0.3750 Na
0.2500 0.6250 0.8750 Na
0.7500 0.3750 0.1250 Na
0.3750 0.1250 0.7500 Na
0.1250 0.7500 0.3750 Na
0.6250 0.7500 0.8750 Na
0.1250 0.3750 0.2500 Na
0.6250 0.8750 0.2500 Na
0.3750 0.2500 0.1250 Na
0.8750 0.2500 0.6250 Na
0.5000 0.0000 0.0000 Rh
0.5000 0.0000 0.5000 Rh
0.0000 0.5000 0.5000 Rh
0.5000 0.5000 0.0000 Rh
0.0000 0.0000 0.0000 Rh
0.0000 0.0000 0.5000 Rh
0.0000 0.5000 0.0000 Rh
0.5000 0.5000 0.5000 Rh
```

Results
mass density = 3.4 g cm⁻³
energy of formation = -2640 meV/atom
E = -4.733 eV/atom



[4]
This record from Materials Project describes crystalline SrCa3Zr16P24O96 at its relaxed geometry. The functional is PBE-GGA.

Cell and atoms, written as POSCAR:
```
SrCa3Zr16P24O96
1.0
8.9339 0.0001 0.0000
-4.4669 2.5790 7.6874
4.4666 -28.3698 7.6875
O P Zr Ca Sr
96 24 16 3 1
Direct
0.9192 0.6492 0.4342 O
0.3111 0.7089 0.7016 O
0.0598 0.3641 0.8627 O
0.6691 0.8992 0.1842 O
0.0470 0.1320 0.7844 O
0.4402 0.1359 0.6373 O
0.3096 0.1144 0.1125 O
0.4530 0.3680 0.7156 O
0.8309 0.6008 0.3158 O
0.1403 0.1850 0.0665 O
0.1036 0.4914 0.0981 O
0.9302 0.2330 0.0184 O
0.4192 0.1493 0.9342 O
0.3536 0.2414 0.3481 O
0.1931 0.5881 0.0014 O
0.3198 0.5170 0.2316 O
0.1682 0.3993 0.6844 O
0.1221 0.0727 0.7007 O
0.0597 0.9584 0.4521 O
0.8097 0.2084 0.2021 O
0.6807 0.4894 0.7692 O
0.6904 0.8859 0.8875 O
0.4430 0.3381 0.2514 O
0.9050 0.4181 0.3551 O
0.9403 0.0415 0.5479 O
0.8069 0.4119 0.9987 O
0.3069 0.9119 0.4986 O
0.8193 0.0106 0.7308 O
0.8967 0.5086 0.9026 O
0.6058 0.0589 0.6823 O
0.4829 0.4620 0.6212 O
0.8533 0.7418 0.8483 O
0.7561 0.7266 0.0221 O
0.2979 0.8821 0.0346 O
0.9829 0.9622 0.1212 O
0.8451 0.8320 0.3949 O
0.5171 0.5378 0.3788 O
0.3597 0.3150 0.4335 O
0.0954 0.5819 0.6447 O
0.2021 0.6179 0.4654 O
0.0570 0.1619 0.2486 O
0.5808 0.8508 0.0658 O
0.4046 0.9181 0.8553 O
0.6903 0.2916 0.2979 O
0.5552 0.6619 0.7486 O
0.6033 0.9914 0.5974 O
0.4301 0.7329 0.5184 O
0.7665 0.2871 0.6290 O
0.8598 0.8153 0.9336 O
0.1464 0.2586 0.1519 O
0.2671 0.7879 0.1288 O
0.2439 0.2735 0.9779 O
0.0808 0.3507 0.5658 O
0.1549 0.1681 0.6051 O
0.8942 0.4411 0.8177 O
0.3964 0.0086 0.4019 O
0.4403 0.5416 0.0479 O
0.8096 0.6141 0.6125 O
0.3318 0.1007 0.8156 O
0.7022 0.1180 0.9654 O
0.6467 0.7582 0.6517 O
0.0061 0.4765 0.2721 O
0.9982 0.5307 0.7279 O
0.9521 0.8679 0.2154 O
0.7335 0.2129 0.8710 O
0.8790 0.9276 0.2993 O
0.6210 0.5724 0.2007 O
0.1098 0.5651 0.1835 O
0.6549 0.6680 0.1051 O
0.5597 0.4585 0.9521 O
0.1889 0.7911 0.7984 O
0.7978 0.3820 0.5346 O
0.5479 0.6321 0.2846 O
0.9448 0.8381 0.7514 O
0.4939 0.0235 0.2279 O
0.1802 0.9830 0.2684 O
0.6290 0.1776 0.0493 O
0.8710 0.3224 0.4507 O
0.3710 0.8223 0.9507 O
0.7439 0.7734 0.4779 O
0.3902 0.9349 0.3165 O
0.1904 0.3856 0.3875 O
0.0171 0.0380 0.8788 O
0.5950 0.0819 0.1449 O
0.5596 0.8643 0.3625 O
0.6402 0.6847 0.5664 O
0.2329 0.7121 0.3712 O
0.9404 0.6357 0.1375 O
0.5698 0.2670 0.4816 O
0.1290 0.6777 0.5493 O
0.0699 0.7671 0.9816 O
0.6931 0.0881 0.5013 O
0.5018 0.9693 0.7721 O
0.3451 0.3319 0.8949 O
0.2561 0.2265 0.5221 O
0.3779 0.4273 0.7993 O
0.3931 0.3028 0.9391 P
0.6068 0.6972 0.0609 P
0.8958 0.3795 0.8640 P
0.3551 0.3716 0.3865 P
0.8551 0.8718 0.8866 P
0.7356 0.2659 0.4922 P
0.6042 0.1205 0.6360 P
0.1444 0.5543 0.6890 P
0.4856 0.5159 0.2422 P
0.6449 0.6282 0.6134 P
0.8932 0.8028 0.4391 P
0.9863 0.0148 0.7420 P
0.7644 0.2341 0.0078 P
0.2356 0.7659 0.9922 P
0.1069 0.1972 0.5609 P
0.1449 0.1284 0.1135 P
0.6431 0.0528 0.1891 P
0.3556 0.9457 0.8110 P
0.0144 0.9841 0.2578 P
0.2644 0.7341 0.5078 P
0.1052 0.6216 0.1365 P
0.5137 0.4852 0.7580 P
0.3948 0.8784 0.3635 P
0.8569 0.4472 0.3109 P
0.8134 0.5902 0.9629 Zr
0.1864 0.4101 0.0373 Zr
0.6866 0.9098 0.5371 Zr
0.5505 0.0110 0.9101 Zr
0.6995 0.7390 0.3399 Zr
0.0636 0.3399 0.2127 Zr
0.4364 0.1601 0.2873 Zr
0.4495 0.9890 0.0899 Zr
0.3136 0.0899 0.4627 Zr
0.9495 0.4890 0.5899 Zr
0.5633 0.8387 0.7125 Zr
0.3006 0.2612 0.6601 Zr
0.9367 0.6613 0.7875 Zr
0.1994 0.2388 0.8399 Zr
0.8005 0.7610 0.1601 Zr
0.0505 0.5110 0.4101 Zr
0.5000 0.5000 0.5000 Ca
0.2500 0.7500 0.2500 Ca
0.0000 0.0000 0.0000 Ca
0.7500 0.2500 0.7500 Sr
```

Results
mass density = 3.1 g cm⁻³
energy of formation = -3251 meV/atom
E = -8.133 eV/atom